{
  "formula": "ReNi2N3",
  "functional": "PBE",
  "state": "optimized geometry",
  "lattice_angstrom": [[4.909, 0.934, 0.326], [-6.977, 3.615, 0.000], [0.153, 0.295, 13.480]],
  "species": ["Ni", "Ni", "Re", "N", "Re", "N", "Re", "N", "Ni", "N", "N", "N", "Re", "Ni", "N", "N", "N", "N", "Ni", "N", "Ni", "N", "Ni", "Ni"],
  "fractional_positions": [[0.510, 0.839, 0.511], [0.141, 0.788, 0.032], [0.458, 0.677, 0.826], [0.602, 0.562, 0.107], [0.542, 0.219, 0.674], [0.398, 0.438, 0.893], [0.542, 0.323, 0.174], [0.500, 0.361, 0.572], [0.859, 0.212, 0.968], [0.398, 0.960, 0.393], [0.500, 0.639, 0.428], [0.000, 0.472, 0.750], [0.458, 0.781, 0.326], [0.141, 0.353, 0.532], [0.602, 0.040, 0.607], [0.000, 0.954, 0.750], [0.500, 0.861, 0.928], [0.000, 0.046, 0.250], [0.490, 0.329, 0.989], [0.500, 0.139, 0.072], [0.859, 0.647, 0.468], [0.000, 0.528, 0.250], [0.490, 0.161, 0.489], [0.510, 0.671, 0.011]],
  "e_form_mev_per_atom": 82,
  "total_energy_ev_per_atom": -7.91,
  "volume_a3_per_atom": 13.593,
  "mass_density_g_cm3": 7.04
}